The following is a DFT calculation (PBE-GGA) of crystalline Tm3Lu at its relaxed geometry.

Properties
The calculated volume is 241.6 Å³/cell. Its total energy is -4.483 eV per atom. Its space-group type is P6_3/mmc, No. 194. For the energy relative to the elements, the calculation gives 4 meV per atom.

Unit cell a=7.1083 b=7.1083 c=5.5203 alpha=90.00 beta=90.00 gamma=120.00
Fractional coordinates of all 8 atoms:
Tm 0.3334 0.1667 0.7500
Tm 0.6666 0.8333 0.2500
Tm 0.1667 0.8333 0.2500
Tm 0.1667 0.3334 0.2500
Tm 0.8333 0.1667 0.7500
Tm 0.8333 0.6666 0.7500
Lu 0.3333 0.6667 0.7500
Lu 0.6667 0.3333 0.2500